A plane-wave DFT calculation with PBE was carried out for a geometry-optimized CsEr2Ag3Te5 structure.

Properties
As for the crystal system: orthorhombic. The calculation puts the mass density at 6.654 g/cm3. Its calculated volume is 713 Å³/cell. The final energy comes out at -3.97 eV per atom. The value obtained for the formation energy is -1.05 eV/atom. The space group is Cmcm, No. 63.

Cell lengths 8.5242, 8.5242, 18.6003 Å; angles 90.00, 90.00, 148.15 degrees
Sites, in units of the cell vectors:
1 Cs 0.4425 0.5575 0.7500
2 Te 0.6815 0.3185 0.0688
3 Er 0.6936 0.3064 0.9053
4 Er 0.6936 0.3064 0.5947
5 Cs 0.5575 0.4425 0.2500
6 Ag 0.9190 0.0810 0.5379
7 Ag 0.0810 0.9190 0.4621
8 Te 0.7549 0.2451 0.7500
9 Er 0.3064 0.6936 0.0947
10 Te 0.9307 0.0693 0.1168
11 Te 0.2451 0.7549 0.2500
12 Ag 0.9190 0.0810 0.9621
13 Ag 0.0810 0.9190 0.0379
14 Te 0.3185 0.6815 0.5688
15 Te 0.0693 0.9307 0.8832
16 Te 0.0693 0.9307 0.6168
17 Er 0.3064 0.6936 0.4053
18 Te 0.6815 0.3185 0.4312
19 Te 0.9307 0.0693 0.3832
20 Te 0.3185 0.6815 0.9312
21 Ag 0.1584 0.8416 0.7500
22 Ag 0.8416 0.1584 0.2500